No. 1
# InGe3

InGe3 after structural relaxation (PBE-GGA, the Materials Project).

Cell: 4.951 4.951 4.951 Å, 60.00 60.00 60.00°
Sites, in units of the cell vectors:
In  0.000  0.000  0.000
Ge  0.250  0.250  0.250
Ge  0.750  0.750  0.750
Ge  0.500  0.500  0.500

Results
* space group: No. 225

No. 2
# Ti9Se2

Ti9Se2 after structural relaxation (PBE-GGA, the Materials Project).

Cell: 3.460 6.833 15.510 Å, 90.00 90.00 90.00°
Sites, in units of the cell vectors:
Ti  0.000  0.722  0.710
Ti  0.500  0.404  0.640
Ti  0.000  0.611  0.923
Ti  0.000  0.778  0.210
Ti  0.500  0.281  0.943
Ti  0.500  0.719  0.057
Ti  0.000  0.111  0.577
Ti  0.000  0.889  0.423
Ti  0.500  0.219  0.443
Ti  0.000  0.389  0.077
Ti  0.500  0.596  0.360
Ti  0.000  0.222  0.790
Ti  0.500  0.904  0.860
Ti  0.000  0.000  0.000
Ti  0.000  0.278  0.290
Ti  0.500  0.096  0.140
Ti  0.500  0.781  0.557
Ti  0.000  0.500  0.500
Se  0.500  0.519  0.803
Se  0.500  0.481  0.197
Se  0.500  0.019  0.697
Se  0.500  0.981  0.303

Results
* space group: No. 55

No. 3
# Ba2Ti6N2O11

Ba2Ti6N2O11 after structural relaxation (PBE-GGA, the Materials Project).

Cell: 7.955 7.955 9.194 Å, 81.73 81.73 28.75°
Sites, in units of the cell vectors:
Ba  0.543  0.543  0.236
Ba  0.444  0.444  0.772
Ti  0.111  0.111  0.907
Ti  0.168  0.168  0.562
Ti  0.234  0.234  0.229
Ti  0.754  0.754  0.760
Ti  0.822  0.822  0.437
Ti  0.865  0.865  0.100
N  0.701  0.701  0.574
N  0.756  0.756  0.234
O  0.070  0.070  0.707
O  0.126  0.126  0.383
O  0.159  0.159  0.089
O  0.634  0.634  0.888
O  0.238  0.238  0.764
O  0.296  0.296  0.425
O  0.358  0.358  0.106
O  0.833  0.833  0.906
O  0.868  0.868  0.614
O  0.922  0.922  0.290
O  0.998  0.998  0.997

Results
* space group: No. 8

No. 4
# LaWN3

LaWN3 after structural relaxation (PBE-GGA, the Materials Project).

Cell: 5.704 5.704 5.704 Å, 60.10 60.10 60.10°
Sites, in units of the cell vectors:
La  0.535  0.535  0.535
La  0.035  0.035  0.035
W  0.784  0.784  0.784
W  0.284  0.284  0.284
N  0.999  0.107  0.556
N  0.607  0.499  0.056
N  0.056  0.607  0.499
N  0.499  0.056  0.607
N  0.556  0.999  0.107
N  0.107  0.556  0.999

Results
* space group: No. 161
* piezoelectric modulus e_max: 7.27 C/m2

no.,formation energy from the elements (meV/atom)
1,300
2,-531
3,-3159
4,-1222